Entry 1:
DFT (PBE with a Hubbard U) results for crystalline Ti7Fe13O30 at its relaxed geometry.

## Properties
Total magnetic moment   58.00 μB/f.u.
Formation energy from the elements   -54.26 kcal/mol of atoms
Crystal system   triclinic

Cell: 5.1522 5.5455 21.2772 Å, 85.24 89.98 62.33°
Closest atoms and distances in Å follow each position.
Space group P1 (No. 1)
Inequivalent atoms, fractional coordinates:
Ti (0.0000, 0.0000, 0.0000)  6 O 1.91-2.10
Ti (0.0821, 0.8172, 0.4424)  4 O 1.90-2.01
Ti (0.2136, 0.6077, 0.7423)  5 O 1.87-2.08
Ti (0.4021, 0.2013, 0.1996)  4 O 1.88-2.04
Ti (0.6924, 0.6246, 0.2449)  3 O 1.81-1.97
Ti (0.7783, 0.4219, 0.5402)  3 O 1.84-1.95
Ti (0.8984, 0.2286, 0.8409)  5 O 1.87-2.09
Fe (0.1022, 0.8032, 0.3045)  5 O 1.89-2.09
Fe (0.2057, 0.5986, 0.6004)  5 O 1.95-2.14
Fe (0.2885, 0.4268, 0.0402)  6 O 2.00-2.10
Fe (0.2980, 0.3875, 0.9022)  6 O 2.06-2.20
Fe (0.3908, 0.2120, 0.3470)  4 O 1.97-2.19
Fe (0.4880, 0.0093, 0.4994)  5 O 2.01-2.22
Fe (0.4978, 0.0035, 0.6402)  4 O 2.00-2.18
Fe (0.5896, 0.8124, 0.9398)  4 O 1.93-2.10
Fe (0.6022, 0.8096, 0.7986)  4 O 2.00-2.15
Fe (0.6946, 0.6074, 0.0973)  5 O 2.02-2.25
Fe (0.7981, 0.3896, 0.4007)  6 O 2.06-2.12
Fe (0.9179, 0.1874, 0.6983)  6 O 2.00-2.15
Fe (0.9884, 0.0181, 0.1419)  5 O 1.95-2.18
O (0.0225, 0.3246, 0.6176)  1 Ti 1.95, 2 Fe 2.00-2.14
O (0.0365, 0.1809, 0.4847)  1 Ti 1.89, 2 Fe 2.08-2.09
O (0.0609, 0.5873, 0.3832)  1 Ti 1.90, 2 Fe 2.05-2.12
O (0.1126, 0.4417, 0.2547)  2 Ti 1.92-1.95
O (0.1161, 0.0478, 0.3597)  3 Fe 1.89-2.10
O (0.1690, 0.3025, 0.1247)  1 Ti 1.88, 1 Fe 2.07
O (0.2411, 0.7748, 0.0819)  3 Fe 1.95-2.10, 1 Ti 2.08
O (0.2465, 0.9128, 0.2203)  2 Fe 2.00-2.09, 2 Ti 2.11-2.13
O (0.2554, 0.1603, 0.9869)  1 Ti 1.91, 1 Fe 2.00
O (0.2985, 0.0532, 0.8641)  1 Ti 1.87, 1 Fe 2.08
O (0.3285, 0.6526, 0.9639)  3 Fe 1.97-2.11, 1 Ti 2.09
O (0.3389, 0.8989, 0.7220)  3 Fe 2.00-2.08, 1 Ti 2.02
O (0.4377, 0.4924, 0.8186)  1 Ti 1.88, 1 Fe 2.06
O (0.4662, 0.7584, 0.5801)  3 Fe 1.95-2.16, 1 Ti 2.07
O (0.4719, 0.3688, 0.6874)  1 Ti 1.87, 1 Fe 2.04
O (0.4965, 0.6488, 0.4591)  1 Ti 1.91, 1 Fe 2.06
O (0.5447, 0.2622, 0.5626)  1 Ti 1.84
O (0.5491, 0.5222, 0.3139)  1 Ti 1.81
O (0.6501, 0.3730, 0.1845)  2 Ti 1.93-2.06
O (0.6619, 0.0962, 0.4215)  3 Fe 1.97-2.07, 1 Ti 2.01
O (0.6745, 0.9540, 0.2779)  2 Ti 1.97-2.11, 2 Fe 2.02-2.18
O (0.7155, 0.8666, 0.1620)  2 Fe 1.98-2.11, 2 Ti 2.04-2.16
O (0.7305, 0.2339, 0.0572)  1 Ti 1.92, 1 Fe 2.03
O (0.7662, 0.1063, 0.9226)  2 Ti 1.92-2.04
O (0.8484, 0.7089, 0.0173)  3 Fe 1.99-2.10, 1 Ti 2.10
O (0.8511, 0.5685, 0.8823)  3 Fe 1.93-2.15, 1 Ti 2.06
O (0.8791, 0.9884, 0.7864)  1 Ti 1.87, 1 Fe 2.09
O (0.9447, 0.8367, 0.6636)  3 Fe 2.00-2.09, 1 Ti 2.08
O (0.9569, 0.4371, 0.7605)  2 Ti 1.97-2.09, 1 Fe 2.07
O (0.9695, 0.6960, 0.5191)  1 Ti 1.90, 1 Fe 2.00

Entry 2:
DFT (PBE with a Hubbard U) results for crystalline Ti2FeO5 at its relaxed geometry.

## Properties
Total magnetic moment   4.00 μB/f.u.
Formation energy from the elements   -69.25 kcal/mol of atoms
Crystal system   triclinic

Cell: 3.7667 9.9576 20.5709 Å, 91.26 90.01 90.03°
Closest atoms and distances in Å follow each position.
Space group P-1 (No. 2)
Inequivalent atoms, fractional coordinates:
Ti (0.2455, 0.1093, 0.2143)  4 O 1.88-1.97
Ti (0.2472, 0.1185, 0.5332)  4 O 1.82-2.02
Ti (0.2481, 0.3870, 0.7808)  4 O 1.82-1.96
Ti (0.2500, 0.1179, 0.7172)  5 O 1.87-2.06
Ti (0.2514, 0.3832, 0.4661)  5 O 1.84-2.05
Ti (0.2511, 0.4356, 0.1235)  5 O 1.85-2.07
Ti (0.2530, 0.1167, 0.0273)  4 O 1.82-1.95
Ti (0.2544, 0.3764, 0.2847)  4 O 1.79-2.00
Fe (0.2494, 0.0603, 0.8749)  4 O 1.99-2.12
Fe (0.2502, 0.3889, 0.9687)  3 O 1.97-2.04
Fe (0.2513, 0.4436, 0.6248)  4 O 2.02-2.14
Fe (0.2526, 0.0558, 0.3744)  4 O 2.04-2.15
O (0.2368, 0.2928, 0.1954)  3 Ti 1.88-2.07
O (0.2390, 0.2964, 0.5558)  1 Ti 1.82, 1 Fe 2.02
O (0.2469, 0.2989, 0.6952)  2 Ti 1.87-1.95, 1 Fe 2.07
O (0.2483, 0.4547, 0.3767)  2 Ti 1.99-2.03, 2 Fe 2.14
O (0.2483, 0.5433, 0.0496)  1 Ti 1.88, 2 Fe 2.03-2.04
O (0.2481, 0.9330, 0.9694)  3 Ti 1.95-2.16
O (0.2489, 0.0477, 0.6260)  2 Ti 1.99-2.05, 2 Fe 2.14-2.15
O (0.2486, 0.5662, 0.7187)  2 Ti 1.96-1.98
O (0.2498, 0.5106, 0.8628)  3 Ti 1.97-2.07
O (0.2501, 0.5657, 0.5287)  2 Ti 1.95-1.96
O (0.2497, 0.9309, 0.2781)  2 Ti 1.95
O (0.2507, 0.0378, 0.1289)  1 Ti 1.88
O (0.2508, 0.2135, 0.8069)  1 Ti 1.82
O (0.2512, 0.5595, 0.2146)  2 Ti 1.96
O (0.2508, 0.9349, 0.4698)  2 Ti 1.95-1.97
O (0.2514, 0.9396, 0.7768)  2 Ti 1.94-1.97
O (0.2554, 0.1947, 0.9479)  1 Ti 1.82, 2 Fe 1.97-1.99
O (0.2560, 0.2870, 0.0677)  2 Ti 1.85-1.87
O (0.2589, 0.2027, 0.4450)  2 Ti 1.84-2.02, 1 Fe 2.04
O (0.2646, 0.2037, 0.3072)  1 Ti 1.79

> What is the total magnetic moment in the first record?

58.00 μB/f.u.

Copy entry 2 word for word.
DFT (PBE with a Hubbard U) results for crystalline Ti2FeO5 at its relaxed geometry.

## Properties
Total magnetic moment   4.00 μB/f.u.
Formation energy from the elements   -69.25 kcal/mol of atoms
Crystal system   triclinic

Cell: 3.7667 9.9576 20.5709 Å, 91.26 90.01 90.03°
Closest atoms and distances in Å follow each position.
Space group P-1 (No. 2)
Inequivalent atoms, fractional coordinates:
Ti (0.2455, 0.1093, 0.2143)  4 O 1.88-1.97
Ti (0.2472, 0.1185, 0.5332)  4 O 1.82-2.02
Ti (0.2481, 0.3870, 0.7808)  4 O 1.82-1.96
Ti (0.2500, 0.1179, 0.7172)  5 O 1.87-2.06
Ti (0.2514, 0.3832, 0.4661)  5 O 1.84-2.05
Ti (0.2511, 0.4356, 0.1235)  5 O 1.85-2.07
Ti (0.2530, 0.1167, 0.0273)  4 O 1.82-1.95
Ti (0.2544, 0.3764, 0.2847)  4 O 1.79-2.00
Fe (0.2494, 0.0603, 0.8749)  4 O 1.99-2.12
Fe (0.2502, 0.3889, 0.9687)  3 O 1.97-2.04
Fe (0.2513, 0.4436, 0.6248)  4 O 2.02-2.14
Fe (0.2526, 0.0558, 0.3744)  4 O 2.04-2.15
O (0.2368, 0.2928, 0.1954)  3 Ti 1.88-2.07
O (0.2390, 0.2964, 0.5558)  1 Ti 1.82, 1 Fe 2.02
O (0.2469, 0.2989, 0.6952)  2 Ti 1.87-1.95, 1 Fe 2.07
O (0.2483, 0.4547, 0.3767)  2 Ti 1.99-2.03, 2 Fe 2.14
O (0.2483, 0.5433, 0.0496)  1 Ti 1.88, 2 Fe 2.03-2.04
O (0.2481, 0.9330, 0.9694)  3 Ti 1.95-2.16
O (0.2489, 0.0477, 0.6260)  2 Ti 1.99-2.05, 2 Fe 2.14-2.15
O (0.2486, 0.5662, 0.7187)  2 Ti 1.96-1.98
O (0.2498, 0.5106, 0.8628)  3 Ti 1.97-2.07
O (0.2501, 0.5657, 0.5287)  2 Ti 1.95-1.96
O (0.2497, 0.9309, 0.2781)  2 Ti 1.95
O (0.2507, 0.0378, 0.1289)  1 Ti 1.88
O (0.2508, 0.2135, 0.8069)  1 Ti 1.82
O (0.2512, 0.5595, 0.2146)  2 Ti 1.96
O (0.2508, 0.9349, 0.4698)  2 Ti 1.95-1.97
O (0.2514, 0.9396, 0.7768)  2 Ti 1.94-1.97
O (0.2554, 0.1947, 0.9479)  1 Ti 1.82, 2 Fe 1.97-1.99
O (0.2560, 0.2870, 0.0677)  2 Ti 1.85-1.87
O (0.2589, 0.2027, 0.4450)  2 Ti 1.84-2.02, 1 Fe 2.04
O (0.2646, 0.2037, 0.3072)  1 Ti 1.79

> The lowest total magnetic moment belongs to which entry?

Ti2FeO5

> What is the total magnetic moment in the first record?

58.00 μB/f.u.